1.
Here is Li4Ti3V2Ni3O16 after structural relaxation from the Materials Project database. Energies are from GGA+U.

Unit cell a=5.9257 b=5.9257 c=9.5795 alpha=89.92 beta=89.92 gamma=59.69
Last column: nearest neighbours and their distance in Å.
Atoms (fractional coordinates):
1 O 0.5095 0.9622 0.6562  1 Ti 1.84, 1 Li 2.00
2 O 0.8225 0.3551 0.4142  1 V 1.78
3 O 0.5199 0.5199 0.6630  2 Ti 2.00, 1 Li 2.00, 1 V 2.18
4 O 0.4743 0.0354 0.1476  1 Ti 1.86, 1 Li 1.94
5 O 0.6484 0.1755 0.9116  1 V 1.80
6 O 0.8221 0.8221 0.4173  1 V 1.78
7 O 0.3551 0.8225 0.4142  1 V 1.78
8 O 0.1755 0.6484 0.9116  1 V 1.80
9 O 0.1646 0.1646 0.8990  2 Ti 2.01, 1 Li 2.08
10 O 0.9622 0.5095 0.6562  1 Ti 1.84, 1 Li 2.00
11 O 0.4782 0.4782 0.1449  1 V 1.78
12 O 0.0354 0.4743 0.1476  1 Ti 1.86, 1 Li 1.94
13 O 0.0010 0.0010 0.6960  1 Li 1.84, 2 Ti 1.95, 1 Ni 1.99
14 O 0.3207 0.3207 0.3946  1 Ti 1.90, 1 Li 1.92, 2 Ni 1.99
15 O 0.0060 0.0060 0.2058  1 Li 1.83, 1 Ti 1.89, 2 Ni 1.96
16 O 0.6547 0.6547 0.8959  1 Li 1.93, 2 Ti 1.94, 1 Ni 2.05
17 Ti 0.3492 0.8464 0.7775  5 O 1.84-2.01
18 Ti 0.8464 0.3492 0.7775  5 O 1.84-2.01
19 Ti 0.1820 0.1820 0.2636  4 O 1.86-1.90
20 Ni 0.6580 0.1675 0.2919  6 O 1.96-2.16
21 Ni 0.8292 0.8292 0.7918  6 O 1.99-2.11
22 Ni 0.1675 0.6580 0.2919  6 O 1.96-2.16
23 V 0.6659 0.6659 0.4976  3 O 1.78
24 V 0.3555 0.3555 0.0135  3 O 1.78-1.80
25 Li 0.6675 0.6675 0.0973  4 O 1.93-2.00
26 Li 0.9985 0.9985 0.5040  4 O 1.84-2.02
27 Li 0.3361 0.3361 0.5947  4 O 1.92-2.00
28 Li 0.9939 0.9939 0.0150  3 O 1.83-2.03

Calculated values
The value obtained for the spin magnetization is 0.21 μB/atom. The space group is Cm, No. 8. The value obtained for the calculated volume is 10.4 Å³ per atom. The value obtained for the formation energy is -2476 meV per atom.

***

2.
Here is Li4Ti3Ni3W2O16 after structural relaxation from the Materials Project database. Energies are from GGA+U.

Unit cell a=5.9908 b=5.9489 c=9.7489 alpha=90.29 beta=90.90 gamma=120.02
Last column: nearest neighbours and their distance in Å.
Atoms (fractional coordinates):
1 Ni 0.6599 0.8312 0.2093  6 O 2.02-2.15
2 Ni 0.8384 0.6587 0.7105  6 O 1.99-2.20
3 Ni 0.8360 0.1756 0.7105  5 O 1.97-2.16
4 Li 0.3243 0.6610 0.8997  4 O 1.92-2.03
5 Li 0.9882 0.9942 0.9842  2 O 1.81-2.00
6 Li 0.6659 0.3351 0.4090  4 O 1.95-2.08
7 Li 0.0042 0.0014 0.4960  4 O 1.86-1.99
8 O 0.8474 0.1746 0.0975  1 Li 2.00, 1 Ti 2.03, 1 W 2.05, 1 Ni 2.10
9 O 0.1730 0.8338 0.5932  1 Li 1.98, 1 W 1.99, 1 Ni 2.10, 1 Ti 2.15
10 O 0.0425 0.5212 0.3402  2 Ti 2.05-2.06, 1 Li 2.08, 1 W 2.12
11 O 0.0116 0.0084 0.7992  1 Li 1.81, 1 Ti 1.91, 2 Ni 1.97-1.99
12 O 0.3106 0.6558 0.1074  2 Ti 1.95, 1 Li 2.03, 1 Ni 2.05
13 O 0.5004 0.0367 0.8571  1 W 1.98, 1 Li 1.99, 1 Ti 2.05
14 O 0.6632 0.8296 0.5830  1 W 1.87, 1 Li 1.98
15 O 0.3314 0.1635 0.1053  2 Ti 1.99-2.02, 1 Li 2.12, 1 W 2.20
16 O 0.4673 0.5058 0.3389  1 Ti 1.93, 1 Li 2.03, 1 W 2.12, 1 Ni 2.12
17 O 0.5069 0.4747 0.8479  1 Ti 1.96, 1 Li 1.98, 1 W 2.06
18 O 0.1812 0.3404 0.5955  1 Li 1.99, 1 W 2.00, 1 Ti 2.05, 1 Ni 2.13
19 O 0.8400 0.6592 0.0951  1 W 1.96, 1 Li 2.05, 1 Ti 2.12, 1 Ni 2.14
20 O 0.9635 0.4820 0.8501  1 Li 1.92, 1 W 1.97, 2 Ni 2.07-2.08
21 O 0.4671 0.9669 0.3416  1 Ti 1.89, 1 Li 2.00
22 O 0.6411 0.3138 0.6079  1 Ti 1.91, 1 Li 1.95, 2 Ni 1.99-2.03
23 O 0.0077 0.0014 0.3055  1 Li 1.86, 2 Ti 1.94-1.96, 1 Ni 2.02
24 Ti 0.1838 0.8429 0.2169  5 O 1.89-2.06
25 Ti 0.1753 0.3386 0.2140  6 O 1.93-2.05
26 Ti 0.3434 0.1802 0.7190  5 O 1.91-2.05
27 W 0.3439 0.6727 0.4911  3 O 1.87-2.00
28 W 0.6817 0.3408 0.9821  5 O 1.96-2.06

Calculated values
The value obtained for the spin magnetization is 0.29 μB/atom. The space group is P1, No. 1. The value obtained for the calculated volume is 10.7 Å³ per atom. The value obtained for the formation energy is -2432 meV per atom.